## Li2VOF3 (GGA+U)

Data for a relaxed structure of Li2VOF3.

Output
* spin magnetization: 0.0117 μB/atom

Cell and atoms, written as CIF:
```
data_Li2VOF3
_chemical_formula_sum 'Li16 V8 O8 F24'
_cell_length_a 7.8437
_cell_length_b 7.8457
_cell_length_c 10.9684
_cell_angle_alpha 69.14
_cell_angle_beta 69.45
_cell_angle_gamma 79.86
_space_group_name_H-M_alt 'P 1'
_space_group_IT_number 1
_space_group_name_Hall 'P 1'
loop_
_atom_site_label
_atom_site_fract_x
_atom_site_fract_y
_atom_site_fract_z
Li1 0.0000 0.0000 0.0000
Li2 0.9996 0.0009 0.4976
Li3 0.0964 0.6282 0.5295
Li4 0.1004 0.6371 0.0206
Li5 0.2318 0.7737 0.2540
Li6 0.2355 0.7651 0.7470
Li7 0.3638 0.3910 0.2540
Li8 0.3647 0.3617 0.7764
Li9 0.4972 0.4998 0.4973
Li10 0.5009 0.5018 0.9890
Li11 0.5943 0.1348 0.5255
Li12 0.5978 0.1316 0.0249
Li13 0.7258 0.2657 0.2501
Li14 0.7337 0.2648 0.7479
Li15 0.8657 0.8632 0.7743
Li16 0.8659 0.8647 0.2749
V1 0.1529 0.1429 0.7093
V2 0.1530 0.1495 0.2054
V3 0.3790 0.9172 0.9593
V4 0.3787 0.9253 0.4563
V5 0.6553 0.6449 0.7052
V6 0.6547 0.6464 0.2068
V7 0.8779 0.4204 0.9579
V8 0.8794 0.4213 0.4563
O1 0.1798 0.9930 0.6002
O2 0.1816 0.9920 0.1003
O3 0.2253 0.9422 0.8521
O4 0.2259 0.9539 0.3485
O5 0.6784 0.4942 0.0987
O6 0.6804 0.4929 0.5983
O7 0.7254 0.4481 0.3493
O8 0.7296 0.4462 0.8470
F1 0.9996 0.6680 0.3716
F2 0.0005 0.6655 0.8674
F3 0.0452 0.3721 0.5840
F4 0.0480 0.3772 0.0795
F5 0.1066 0.3097 0.8346
F6 0.1069 0.3210 0.3273
F7 0.3031 0.6581 0.5710
F8 0.3046 0.6492 0.0744
F9 0.3889 0.5751 0.3217
F10 0.3907 0.5666 0.8222
F11 0.3977 0.2654 0.6219
F12 0.3997 0.2688 0.1136
F13 0.4917 0.1747 0.3685
F14 0.4997 0.1636 0.8692
F15 0.5456 0.8760 0.5830
F16 0.5485 0.8748 0.0817
F17 0.6070 0.8092 0.8339
F18 0.6076 0.8177 0.3308
F19 0.8015 0.1551 0.0728
F20 0.8022 0.1558 0.5704
F21 0.8880 0.0662 0.8228
F22 0.8884 0.0713 0.3201
F23 0.9000 0.7667 0.6187
F24 0.9018 0.7646 0.1197
```



## Li2CoCSO7 (GGA+U)

Data for a relaxed structure of Li2CoCSO7.

Output
* spin magnetization: 0.0001 μB/atom

Cell and atoms, written as CIF:
```
data_Li2CoCSO7
_chemical_formula_sum 'Li8 Co4 C4 S4 O28'
_cell_length_a 4.9888
_cell_length_b 6.4452
_cell_length_c 17.8303
_cell_angle_alpha 90.08
_cell_angle_beta 96.37
_cell_angle_gamma 90.05
_space_group_name_H-M_alt 'P 1'
_space_group_IT_number 1
_space_group_name_Hall 'P 1'
loop_
_atom_site_label
_atom_site_fract_x
_atom_site_fract_y
_atom_site_fract_z
Li1 0.0000 0.0000 0.0000
Li2 0.0004 0.4685 0.0000
Li3 0.0039 0.0008 0.4993
Li4 0.0044 0.4685 0.4996
Li5 0.5749 0.5016 0.1841
Li6 0.5751 0.9703 0.1843
Li7 0.5783 0.5015 0.6834
Li8 0.5780 0.9702 0.6837
Co1 0.0189 0.7353 0.2680
Co2 0.0230 0.7363 0.7678
Co3 0.5552 0.2340 0.9161
Co4 0.5647 0.2372 0.4153
C1 0.0592 0.7352 0.1275
C2 0.0615 0.7354 0.6272
C3 0.5165 0.2350 0.0567
C4 0.5195 0.2344 0.5562
S1 0.0389 0.2356 0.7978
S2 0.0399 0.2351 0.2986
S3 0.5344 0.7348 0.3855
S4 0.5394 0.7347 0.8863
O1 0.0864 0.7345 0.0572
O2 0.0881 0.7349 0.5569
O3 0.2329 0.7367 0.3744
O4 0.2379 0.7362 0.8745
O5 0.2680 0.7357 0.1799
O6 0.2707 0.7354 0.6795
O7 0.3074 0.2348 0.0043
O8 0.3101 0.2321 0.5040
O9 0.3404 0.2341 0.8096
O10 0.3410 0.2312 0.3095
O11 0.4894 0.2356 0.1270
O12 0.4928 0.2354 0.6264
O13 0.6313 0.5514 0.4315
O14 0.6349 0.5502 0.9319
O15 0.6346 0.7303 0.3102
O16 0.6373 0.9203 0.4295
O17 0.6381 0.9193 0.9318
O18 0.6423 0.7339 0.8115
O19 0.7528 0.2346 0.0312
O20 0.7569 0.2354 0.5309
O21 0.8226 0.7355 0.1530
O22 0.8253 0.7359 0.6528
O23 0.9361 0.0505 0.2541
O24 0.9362 0.2365 0.8727
O25 0.9401 0.0510 0.7523
O26 0.9422 0.2395 0.3743
O27 0.9434 0.4188 0.2528
O28 0.9433 0.4201 0.7522
```



no.,uncorrected energy (eV per atom)
1,-5.710
2,-6.356